Li3BiS3 | GGA-PBE | relaxed

Values from the calculation:
space-group type = R3c
ΔE to the lowest computed polymorph = 24 meV per atom

abc: 6.8759 6.8759 6.8759
angles: 105.22 105.22 105.22
Element x y z (fractional)
Li 0.1962 0.9746 0.5983
Bi 0.0151 0.0151 0.0151
Li 0.6962 0.0983 0.4746
S 0.2804 0.2931 0.9261
Li 0.4746 0.6962 0.0983
S 0.4261 0.7931 0.7804
Li 0.9746 0.5983 0.1962
Li 0.5983 0.1962 0.9746
Li 0.0983 0.4746 0.6962
S 0.7804 0.4261 0.7931
Bi 0.5151 0.5151 0.5151
S 0.9261 0.2804 0.2931
S 0.7931 0.7804 0.4261
S 0.2931 0.9261 0.2804

=====

Al2O3 | GGA-PBE | relaxed

Values from the calculation:
space-group type = P1

abc: 10.4006 9.7100 10.7578
angles: 91.55 94.31 89.83
Element x y z (fractional)
O 0.7404 0.4428 0.4827
Al 0.8174 0.7955 0.1703
O 0.1690 0.5751 0.6885
O 0.5334 0.9057 0.5402
Al 0.4210 0.7607 0.5582
O 0.2022 0.2722 0.7597
O 0.8827 0.6674 0.6461
Al 0.7929 0.1176 0.6910
O 0.9037 0.2674 0.7102
O 0.7289 0.1948 0.8232
O 0.2433 0.2096 0.3182
O 0.7108 0.1142 0.5391
O 0.8409 0.9412 0.7289
Al 0.4418 0.0522 0.4953
Al 0.8515 0.3613 0.8493
O 0.4098 0.5723 0.8170
O 0.7984 0.1171 0.1209
O 0.8359 0.3354 0.0192
O 0.1043 0.4672 0.1268
O 0.4831 0.2104 0.4363
O 0.8578 0.6361 0.0810
O 0.9581 0.5145 0.8510
Al 0.9150 0.0871 0.2502
Al 0.9608 0.5796 0.2205
O 0.9665 0.4178 0.2964
Al 0.6334 0.0203 0.1327
Al 0.3572 0.3413 0.4000
O 0.0542 0.0652 0.6444
O 0.4439 0.2689 0.8663
O 0.2439 0.0068 0.8526
O 0.2987 0.3838 0.5512
Al 0.8896 0.3449 0.4210
O 0.3736 0.6671 0.1725
Al 0.3896 0.6054 0.9890
Al 0.4278 0.2660 0.0298
Al 0.0896 0.4718 0.9617
Al 0.9446 0.1795 0.0239
O 0.5666 0.6507 0.0167
O 0.1042 0.6910 0.2430
O 0.5303 0.3717 0.6790
O 0.7036 0.8713 0.0553
Al 0.3811 0.9815 0.7622
Al 0.0225 0.9518 0.7822
O 0.8455 0.6766 0.3096
O 0.3812 0.9565 0.3524
Al 0.2298 0.5814 0.2018
O 0.0338 0.1811 0.1729
Al 0.1697 0.5174 0.5279
O 0.6869 0.4617 0.8608
O 0.2912 0.1649 0.0349
Al 0.7230 0.2889 0.1464
O 0.4108 0.4395 0.0847
Al 0.5523 0.5588 0.7392
O 0.5223 0.9731 0.8597
O 0.0525 0.6626 0.4773
Al 0.5689 0.8191 0.9354
Al 0.1158 0.3276 0.2500
O 0.3798 0.1101 0.6405
Al 0.3614 0.2980 0.6944
O 0.2151 0.5829 0.9425
O 0.0875 0.7866 0.7976
O 0.6432 0.9511 0.2972
Al 0.1740 0.1679 0.9018
Al 0.0615 0.2597 0.6565
Al 0.6320 0.2965 0.4271
O 0.6646 0.4615 0.1512
Al 0.0186 0.6281 0.7407
O 0.3595 0.7877 0.9373
Al 0.5159 0.5365 0.2075
O 0.0557 0.2953 0.9420
Al 0.1522 0.7665 0.3904
Al 0.3154 0.9514 0.0200
O 0.8824 0.9057 0.4762
Al 0.5954 0.2987 0.8171
O 0.7473 0.2612 0.3146
Al 0.6226 0.5903 0.4508
Al 0.2331 0.0278 0.2776
Al 0.7006 0.9385 0.4596
O 0.4746 0.9350 0.1126
Al 0.7123 0.5490 0.0187
O 0.5113 0.4380 0.3568
O 0.9297 0.9146 0.2245
O 0.0114 0.0590 0.9147
O 0.2954 0.6937 0.4558
O 0.5675 0.6850 0.3120
O 0.6457 0.7237 0.7926
O 0.2140 0.9351 0.1395
O 0.0356 0.3818 0.5352
O 0.9560 0.1615 0.4054
O 0.5720 0.1966 0.1033
Al 0.8865 0.7181 0.4747
O 0.5242 0.6157 0.5805
Al 0.7562 0.7797 0.6874
O 0.3391 0.8175 0.6881
O 0.1410 0.9495 0.4029
O 0.7144 0.7513 0.5125
Al 0.2647 0.6974 0.7980
Al 0.0139 0.0164 0.4865
O 0.2347 0.4600 0.3285
Al 0.4806 0.8416 0.2572

=====

KTiCu3Se4 | GGA-PBE | relaxed

Values from the calculation:
space-group type = P-43m

abc: 6.0800 6.0800 6.0800
angles: 90.00 90.00 90.00
Element x y z (fractional)
Cu 0.5000 0.0000 0.0000
K 0.5000 0.5000 0.5000
Cu 0.0000 0.5000 0.0000
Cu 0.0000 0.0000 0.5000
Se 0.2248 0.2248 0.2248
Se 0.2248 0.7752 0.7752
Se 0.7752 0.7752 0.2248
Se 0.7752 0.2248 0.7752
Ti 0.0000 0.0000 0.0000

=====

LiSmS2 | GGA-PBE | relaxed

Values from the calculation:
space-group type = I4_1/amd

abc: 6.8869 6.8869 6.8869
angles: 132.38 132.38 69.64
Element x y z (fractional)
S 0.7529 0.7529 0.0000
S 0.2471 0.2471 0.0000
S 0.5029 0.0029 0.5000
Sm 0.0000 0.0000 0.0000
S 0.9971 0.4971 0.5000
Li 0.5000 0.5000 0.0000
Sm 0.7500 0.2500 0.5000
Li 0.2500 0.7500 0.5000

=====

La5B4Rh15 | GGA-PBE | relaxed

Values from the calculation:
space-group type = P4/mmm

abc: 4.2899 4.2899 21.1335
angles: 90.00 90.00 90.00
Element x y z (fractional)
La 0.0000 0.0000 0.5000
Rh 0.0000 0.5000 0.3996
B 0.5000 0.5000 0.1945
Rh 0.0000 0.5000 0.6004
Rh 0.5000 0.5000 0.2978
La 0.0000 0.0000 0.9043
B 0.5000 0.5000 0.3991
Rh 0.5000 0.5000 0.9046
Rh 0.5000 0.0000 0.0000
Rh 0.5000 0.0000 0.6004
La 0.0000 0.0000 0.0957
Rh 0.0000 0.5000 0.0000
B 0.5000 0.5000 0.6009
Rh 0.0000 0.5000 0.1983
Rh 0.5000 0.5000 0.0954
B 0.5000 0.5000 0.8055
Rh 0.0000 0.5000 0.8017
La 0.0000 0.0000 0.7004
Rh 0.5000 0.0000 0.3996
Rh 0.5000 0.0000 0.8017
Rh 0.5000 0.5000 0.7022
La 0.0000 0.0000 0.2996
Rh 0.5000 0.0000 0.1983
Rh 0.5000 0.5000 0.5000

=====

CeGe2Pd2 | GGA-PBE | relaxed

Values from the calculation:
space-group type = I4/mmm

abc: 5.9761 5.9761 5.9761
angles: 137.74 137.74 61.30
Element x y z (fractional)
Ce 0.0000 0.0000 0.0000
Pd 0.2500 0.7500 0.5000
Ge 0.3802 0.3802 0.0000
Ge 0.6198 0.6198 0.0000
Pd 0.7500 0.2500 0.5000

=====

K2TiAgF6 | GGA-PBE | relaxed

Values from the calculation:
space-group type = Fm-3m

abc: 6.2332 6.2332 6.2332
angles: 60.00 60.00 60.00
Element x y z (fractional)
Ti 0.0000 0.0000 0.0000
Ag 0.5000 0.5000 0.5000
F 0.7747 0.2253 0.7747
K 0.2500 0.2500 0.2500
F 0.7747 0.7747 0.2253
F 0.2253 0.2253 0.7747
F 0.7747 0.2253 0.2253
F 0.2253 0.7747 0.2253
F 0.2253 0.7747 0.7747
K 0.7500 0.7500 0.7500

=====

Calculated formation energy / eV/atom: -1.160, -3.220, -0.860, -2.048, -0.634, -0.790, -2.915